Density functional theory data (PBE-GGA) for a relaxed MoN crystal.

Results
Formation energy ... -533.3 meV per atom
Energy ... -9.944 eV/atom

Cell and atoms, written as extended XYZ:
```
4
Lattice="1.435 -2.486 0.000 1.435 2.486 0.000 0.000 0.000 5.707" Properties=species:S:1:pos:R:3 pbc="T T T"
Mo 0.000 0.000 2.853
Mo 0.000 0.000 0.000
N 1.435 0.829 4.280
N 1.435 -0.829 1.427
```